Record 1
DFT (GGA-PBE) results for a relaxed Tm2Al9Rh3 crystal.

Cell lengths 7.5290, 7.5290, 9.4514 Å; angles 90.00, 90.00, 119.62 degrees
Last column: nearest neighbours and their distance in Å.
Positions (direct):
Tm1 0.9959 0.6685 0.2500  11 Al 3.04-3.12
Tm2 0.0041 0.3315 0.7500  11 Al 3.04-3.12
Tm3 0.6685 0.9959 0.2500  11 Al 3.04-3.12
Tm4 0.3315 0.0041 0.7500  11 Al 3.04-3.12
Al1 0.1243 0.1243 0.2500  2 Rh 2.54, 6 Al 2.76-2.77
Al2 0.8757 0.8757 0.7500  2 Rh 2.54, 6 Al 2.76-2.77
Al3 0.0008 0.3340 0.0735  3 Rh 2.55-2.61, 3 Al 2.76-2.79
Al4 0.9992 0.6660 0.9265  3 Rh 2.55-2.61, 3 Al 2.76-2.79
Al5 0.9992 0.6660 0.5735  3 Rh 2.55-2.61, 3 Al 2.76-2.79
Al6 0.3340 0.0008 0.4265  3 Rh 2.55-2.61, 3 Al 2.76-2.79
Al7 0.0008 0.3340 0.4265  3 Rh 2.55-2.61, 3 Al 2.76-2.79
Al8 0.6660 0.9992 0.5735  3 Rh 2.55-2.61, 3 Al 2.76-2.79
Al9 0.6660 0.9992 0.9265  3 Rh 2.55-2.61, 3 Al 2.76-2.79
Al10 0.3340 0.0008 0.0735  3 Rh 2.55-2.61, 3 Al 2.76-2.79
Al11 0.3337 0.3337 0.5556  3 Rh 2.58-2.62, 5 Al 2.73-2.85
Al12 0.6663 0.6663 0.4444  3 Rh 2.58-2.62, 5 Al 2.73-2.85
Al13 0.6663 0.6663 0.0556  3 Rh 2.58-2.62, 5 Al 2.73-2.85
Al14 0.3337 0.3337 0.9444  3 Rh 2.58-2.62, 5 Al 2.73-2.85
Al15 0.3369 0.5476 0.2500  2 Rh 2.56, 6 Al 2.74-2.85
Al16 0.6631 0.4524 0.7500  2 Rh 2.56, 6 Al 2.74-2.85
Al17 0.5476 0.3369 0.2500  2 Rh 2.56, 6 Al 2.74-2.85
Al18 0.4524 0.6631 0.7500  2 Rh 2.56, 6 Al 2.74-2.85
Rh1 0.6723 0.3277 0.0000  8 Al 2.55-2.62
Rh2 0.3277 0.6723 0.0000  8 Al 2.55-2.62
Rh3 0.3277 0.6723 0.5000  8 Al 2.55-2.62
Rh4 0.6723 0.3277 0.5000  8 Al 2.55-2.62
Rh5 0.0000 0.0000 0.0000  8 Al 2.54-2.61
Rh6 0.0000 0.0000 0.5000  8 Al 2.54-2.61

Properties
Symmetry   Cmcm, No. 63



Record 2
DFT (GGA-PBE) results for a relaxed CeSiIr2 crystal.

Cell lengths 18.2568, 18.2568, 18.2568 Å; angles 167.26, 167.26, 18.06 degrees
Last column: nearest neighbours and their distance in Å.
Positions (direct):
Ce1 0.6757 0.6757 0.0000  10 Ir 3.04-3.36, 4 Si 3.18
Ce2 0.4257 0.9257 0.5000  10 Ir 3.04-3.36, 4 Si 3.18
Ce3 0.0743 0.5743 0.5000  10 Ir 3.04-3.36, 4 Si 3.18
Ce4 0.3243 0.3243 0.0000  10 Ir 3.04-3.36, 4 Si 3.18
Si1 0.7862 0.7862 0.0000  5 Ir 2.39-2.41
Si2 0.5362 0.0362 0.5000  5 Ir 2.39-2.41
Si3 0.9638 0.4638 0.5000  5 Ir 2.39-2.41
Si4 0.2138 0.2138 0.0000  5 Ir 2.39-2.41
Ir1 0.7500 0.2500 0.5000  4 Si 2.41
Ir2 0.0000 0.0000 0.0000  4 Si 2.41
Ir3 0.5000 0.5000 0.0000  4 Si 2.41
Ir4 0.2500 0.7500 0.5000  4 Si 2.41
Ir5 0.8524 0.8524 0.0000  1 Si 2.39, 2 Ir 2.60
Ir6 0.6024 0.1024 0.5000  1 Si 2.39, 2 Ir 2.60
Ir7 0.8976 0.3976 0.5000  1 Si 2.39, 2 Ir 2.60
Ir8 0.1476 0.1476 0.0000  1 Si 2.39, 2 Ir 2.60

Properties
M_tot   0.56 μB/f.u.
Symmetry   I4_1/amd, No. 141



Record 3
DFT (GGA-PBE) results for a relaxed CaMg6CO8 crystal.

Cell lengths 8.6518, 4.3312, 4.3312 Å; angles 90.00, 90.00, 90.00 degrees
Last column: nearest neighbours and their distance in Å.
Positions (direct):
Ca1 0.0000 0.0000 0.0000  6 O 2.17-2.28
Mg1 0.5000 0.0000 0.0000  6 O 2.05-2.17
Mg2 0.5000 0.5000 0.5000  6 O 2.16-2.17
Mg3 0.2524 0.0000 0.5000  6 O 2.14-2.18
Mg4 0.7476 0.0000 0.5000  6 O 2.14-2.18
Mg5 0.2524 0.5000 0.0000  6 O 2.14-2.18
Mg6 0.7476 0.5000 0.0000  6 O 2.14-2.18
C1 0.0000 0.5000 0.5000  6 O 2.17
O1 0.2636 0.0000 0.0000  5 Mg 2.05-2.17, 1 Ca 2.28
O2 0.7364 0.0000 0.0000  5 Mg 2.05-2.17, 1 Ca 2.28
O3 0.2502 0.5000 0.5000  5 Mg 2.16-2.17, 1 C 2.17
O4 0.7498 0.5000 0.5000  5 Mg 2.16-2.17, 1 C 2.17
O5 0.0000 0.0000 0.5000  2 Ca 2.17, 2 C 2.17, 2 Mg 2.18
O6 0.5000 0.0000 0.5000  6 Mg 2.14-2.17
O7 0.0000 0.5000 0.0000  2 Ca 2.17, 2 C 2.17, 2 Mg 2.18
O8 0.5000 0.5000 0.0000  6 Mg 2.14-2.17

Properties
M_tot   0.00 μB/f.u.
Excess energy over the best structure of this formula in the dataset   0.0 meV/atom
Symmetry   P4/mmm, No. 123



Record 4
DFT (GGA-PBE) results for a relaxed DyScS3 crystal.

Cell lengths 6.3650, 7.0021, 9.5594 Å; angles 90.00, 90.00, 90.00 degrees
Last column: nearest neighbours and their distance in Å.
Positions (direct):
Dy1 0.0419 0.6042 0.2500  6 S 2.72-2.91
Dy2 0.4581 0.1042 0.2500  6 S 2.72-2.91
Dy3 0.9581 0.3958 0.7500  6 S 2.72-2.91
Dy4 0.5419 0.8958 0.7500  6 S 2.72-2.91
Sc1 0.5000 0.5000 0.5000  6 S 2.53-2.58
Sc2 0.5000 0.5000 0.0000  6 S 2.53-2.58
Sc3 0.0000 0.0000 0.5000  6 S 2.53-2.58
Sc4 0.0000 0.0000 0.0000  6 S 2.53-2.58
S1 0.1734 0.3174 0.0708  2 Sc 2.53-2.57, 1 Dy 2.77
S2 0.3266 0.8174 0.0708  2 Sc 2.53-2.57, 1 Dy 2.77
S3 0.6734 0.1826 0.5708  2 Sc 2.53-2.57, 1 Dy 2.77
S4 0.8266 0.6826 0.9292  2 Sc 2.53-2.57, 1 Dy 2.77
S5 0.6446 0.4535 0.2500  2 Sc 2.58, 2 Dy 2.72-2.74
S6 0.3554 0.5465 0.7500  2 Sc 2.58, 2 Dy 2.72-2.74
S7 0.8266 0.6826 0.5708  2 Sc 2.53-2.57, 1 Dy 2.77
S8 0.1734 0.3174 0.4292  2 Sc 2.53-2.57, 1 Dy 2.77
S9 0.3266 0.8174 0.4292  2 Sc 2.53-2.57, 1 Dy 2.77
S10 0.6734 0.1826 0.9292  2 Sc 2.53-2.57, 1 Dy 2.77
S11 0.1446 0.0465 0.7500  2 Sc 2.58, 2 Dy 2.72-2.74
S12 0.8554 0.9535 0.2500  2 Sc 2.58, 2 Dy 2.72-2.74

Properties
Symmetry   Pnma, No. 62



Record 5
DFT (GGA-PBE) results for a relaxed ReNF6 crystal.

Cell lengths 9.5939, 5.4576, 10.2849 Å; angles 70.35, 90.00, 90.00 degrees
Last column: nearest neighbours and their distance in Å.
Positions (direct):
Re1 0.6103 0.6880 0.7149  1 N 1.74, 5 F 1.88-1.91
Re2 0.1103 0.3120 0.7851  1 N 1.74, 5 F 1.88-1.91
Re3 0.3897 0.3120 0.2851  1 N 1.74, 5 F 1.88-1.91
Re4 0.8897 0.6880 0.2149  1 N 1.74, 5 F 1.88-1.91
N1 0.7249 0.9049 0.6018  1 F 1.29
N2 0.2249 0.0951 0.8982  1 F 1.29
N3 0.2751 0.0951 0.3982  1 F 1.29
N4 0.7751 0.9049 0.1018  1 F 1.29
F1 0.6848 0.0560 0.0201  1 N 1.29
F2 0.1848 0.9440 0.4799  1 N 1.29
F3 0.3152 0.9440 0.9799  1 N 1.29
F4 0.8152 0.0560 0.5201  1 N 1.29
F5 0.0097 0.4417 0.3408  1 Re 1.91
F6 0.5097 0.5583 0.1592  1 Re 1.91
F7 0.9903 0.5583 0.6592  1 Re 1.91
F8 0.4903 0.4417 0.8408  1 Re 1.91
F9 0.8027 0.3886 0.2011  1 Re 1.88
F10 0.3027 0.6114 0.2989  1 Re 1.88
F11 0.1973 0.6114 0.7989  1 Re 1.88
F12 0.6973 0.3886 0.7011  1 Re 1.88
F13 0.7856 0.6615 0.3744  1 Re 1.88
F14 0.2856 0.3385 0.1256  1 Re 1.88
F15 0.2144 0.3385 0.6256  1 Re 1.88
F16 0.7144 0.6615 0.8744  1 Re 1.88
F17 0.0023 0.9416 0.2496  1 Re 1.88
F18 0.5023 0.0584 0.2504  1 Re 1.88
F19 0.9977 0.0584 0.7504  1 Re 1.88
F20 0.4977 0.9416 0.7496  1 Re 1.88
F21 0.0195 0.6811 0.0786  1 Re 1.88
F22 0.5195 0.3189 0.4214  1 Re 1.88
F23 0.9805 0.3189 0.9214  1 Re 1.88
F24 0.4805 0.6811 0.5786  1 Re 1.88

Properties
M_tot   0.00 μB/f.u.
Symmetry   P2_1/c, No. 14



Record 6
DFT (GGA-PBE) results for a relaxed BaUI6 crystal.

Cell lengths 8.4054, 8.4054, 15.3545 Å; angles 84.42, 84.42, 120.37 degrees
Last column: nearest neighbours and their distance in Å.
Positions (direct):
Ba1 0.1695 0.3343 0.9967  6 I 3.47-3.49
Ba2 0.3343 0.1695 0.4967  6 I 3.47-3.49
U1 0.6667 0.8404 0.4990  6 I 3.02-3.03
U2 0.8404 0.6667 0.9990  6 I 3.02-3.03
I1 0.5929 0.7154 0.8824  1 U 3.02
I2 0.7154 0.5929 0.3824  1 U 3.02
I3 0.8885 0.4282 0.8752  1 U 3.03
I4 0.6110 0.0762 0.6214  1 U 3.03
I5 0.4282 0.8885 0.3752  1 U 3.03
I6 0.0005 0.1896 0.3871  1 U 3.03
I7 0.1896 0.0005 0.8871  1 U 3.03
I8 0.9153 0.7995 0.6177  1 U 3.03
I9 0.0762 0.6110 0.1214  1 U 3.03
I10 0.5006 0.3312 0.1153  1 U 3.03
I11 0.3312 0.5006 0.6153  1 U 3.03
I12 0.7995 0.9153 0.1177  1 U 3.03

Properties
Symmetry   Cc, No. 9



no.,energy of formation (meV per atom),raw total energy (eV per atom)
1,-820,-5.445
2,-1006,-8.265
3,-2384,-5.816
4,-2286,-6.654
5,-1896,-5.583
6,-1490,-4.000